Record 1
The following is a PBE-GGA calculation of a relaxed structure of CrFe4, from Materials Project.

Total magnetization in μB/f.u.: 8.6
Energy of formation from the pure elements in eV per atom: 0.030

a b c (Å): 10.252 10.156 2.454
angles (deg): 85.32 80.88 13.80
Sites, in units of the cell vectors:
Fe  0.600  0.600  0.400
Fe  0.400  0.400  0.600
Fe  0.800  0.800  0.200
Fe  0.200  0.200  0.800
Cr  0.000  0.000  0.000

=====

Record 2
The following is a PBE-GGA calculation of a relaxed structure of Cr23Ga26Fe3, from Materials Project.

Total magnetization in μB/f.u.: 8.1
Energy of formation from the pure elements in eV per atom: -0.007

a b c (Å): 7.788 7.760 12.732
angles (deg): 90.08 89.55 109.39
Sites, in units of the cell vectors:
Ga  0.725  0.076  0.731
Ga  0.051  0.058  0.403
Ga  0.138  0.365  0.750
Ga  0.551  0.558  0.903
Ga  0.947  0.948  0.595
Ga  0.950  0.331  0.554
Ga  0.447  0.831  0.054
Ga  0.450  0.451  0.098
Ga  0.771  0.419  0.772
Ga  0.579  0.234  0.227
Ga  0.363  0.137  0.751
Ga  0.079  0.727  0.726
Ga  0.497  0.501  0.498
Ga  0.422  0.774  0.774
Ga  0.670  0.056  0.444
Ga  0.231  0.577  0.232
Ga  0.635  0.859  0.250
Ga  0.273  0.919  0.273
Ga  0.170  0.558  0.944
Ga  0.921  0.274  0.273
Ga  0.831  0.443  0.058
Ga  0.997  0.001  0.000
Ga  0.558  0.166  0.942
Ga  0.058  0.666  0.442
Ga  0.331  0.944  0.557
Ga  0.855  0.633  0.251
Cr  0.482  0.482  0.696
Cr  0.756  0.096  0.097
Cr  0.100  0.759  0.100
Cr  0.602  0.261  0.600
Cr  0.739  0.398  0.404
Cr  0.589  0.803  0.590
Cr  0.233  0.228  0.575
Cr  0.767  0.767  0.428
Cr  0.017  0.019  0.803
Cr  0.749  0.746  0.746
Cr  0.235  0.901  0.901
Cr  0.411  0.196  0.411
Cr  0.259  0.598  0.597
Cr  0.804  0.587  0.588
Cr  0.091  0.306  0.090
Cr  0.244  0.243  0.244
Cr  0.306  0.088  0.088
Cr  0.735  0.729  0.071
Cr  0.908  0.694  0.911
Cr  0.981  0.980  0.198
Cr  0.271  0.269  0.930
Cr  0.403  0.750  0.404
Cr  0.906  0.249  0.901
Fe  0.516  0.520  0.304
Fe  0.697  0.912  0.911
Fe  0.199  0.413  0.410